Record 1
This record from Materials Project describes an optimized crystal structure of Sr2MgMnSbO6. The functional is PBE with a Hubbard U.

Properties
As for the space group: No. 1. The value obtained for the uncorrected energy is -0.2314 hartree per atom. Its excess energy over the best structure of this formula in the dataset is 0.000 eV per formula unit. The calculated formation energy comes out at -2.4637 eV/atom.

```
11
Lattice="3.251 5.246 0.437 -0.550 -1.193 5.848 4.660 -1.193 3.118" Properties=species:S:1:pos:R:3 pbc="T T T"
Sr 2.875 0.942 6.103
Sr 4.942 2.814 3.517
Mg 6.407 2.934 6.587
Mn 1.321 0.994 3.281
Sb 0.143 0.202 0.165
O 4.531 3.112 5.951
O 2.852 -0.244 3.779
O 6.349 1.340 7.744
O 1.065 1.600 1.292
O 4.183 -0.894 7.217
O 3.092 3.902 2.023
```

=====

Record 2
This record from Materials Project describes an optimized crystal structure of Sr2MgMnSbO6. The functional is PBE with a Hubbard U.

Properties
As for the space group: No. 2. The value obtained for the uncorrected energy is -0.2283 hartree per atom. Its excess energy over the best structure of this formula in the dataset is 0.941 eV per formula unit. The calculated formation energy comes out at -2.3782 eV/atom.

```
11
Lattice="-6.075 -1.076 0.167 1.062 6.752 0.014 -2.388 2.846 -4.127" Properties=species:S:1:pos:R:3 pbc="T T T"
Sr -2.204 5.891 -1.753
Sr -5.198 2.631 -2.193
Mg -1.194 1.423 -2.064
Mn -2.507 2.838 0.091
Sb 0.000 0.000 0.000
O -5.463 5.141 -1.966
O -1.939 3.382 -1.980
O -5.393 7.672 -3.711
O -2.009 0.850 -0.235
O -1.989 7.855 -3.209
O -5.412 0.667 -0.737
```